1.
Density functional theory data (PBE) for crystalline Na12Ca4Ta2Si3P6O36 at its relaxed geometry.

abc: 9.382 9.382 22.812
angles: 90.00 90.00 120.00
Fractional coordinates of all 126 atoms:
1 Na 0.000 0.000 0.084
2 Na 0.000 0.000 0.584
3 Na 0.026 0.342 0.167
4 Na 0.026 0.684 0.667
5 Na 0.316 0.342 0.667
6 Na 0.316 0.974 0.167
7 Na 0.327 0.039 0.500
8 Na 0.327 0.288 0.000
9 Na 0.333 0.667 0.251
10 Na 0.333 0.667 0.751
11 Na 0.377 0.028 0.837
12 Na 0.377 0.349 0.337
13 Na 0.651 0.028 0.337
14 Na 0.651 0.623 0.837
15 Na 0.658 0.684 0.167
16 Na 0.658 0.974 0.667
17 Na 0.667 0.333 0.416
18 Na 0.667 0.333 0.916
19 Na 0.712 0.039 0.000
20 Na 0.712 0.673 0.500
21 Na 0.961 0.288 0.500
22 Na 0.961 0.673 0.000
23 Na 0.972 0.349 0.837
24 Na 0.972 0.623 0.337
25 Ca 0.000 0.000 0.436
26 Ca 0.000 0.000 0.936
27 Ca 0.333 0.667 0.105
28 Ca 0.333 0.667 0.605
29 Ca 0.667 0.333 0.072
30 Ca 0.667 0.333 0.269
31 Ca 0.667 0.333 0.572
32 Ca 0.667 0.333 0.769
33 Ta 0.000 0.000 0.245
34 Ta 0.000 0.000 0.745
35 Ta 0.333 0.667 0.400
36 Ta 0.333 0.667 0.900
37 Si 0.007 0.304 0.343
38 Si 0.007 0.703 0.843
39 Si 0.297 0.304 0.843
40 Si 0.297 0.993 0.343
41 Si 0.696 0.703 0.343
42 Si 0.696 0.993 0.843
43 P 0.042 0.378 0.004
44 P 0.042 0.664 0.504
45 P 0.336 0.378 0.504
46 P 0.336 0.958 0.004
47 P 0.346 0.027 0.675
48 P 0.346 0.320 0.175
49 P 0.622 0.664 0.004
50 P 0.622 0.958 0.504
51 P 0.680 0.027 0.175
52 P 0.680 0.654 0.675
53 P 0.973 0.320 0.675
54 P 0.973 0.654 0.175
55 O 0.021 0.204 0.001
56 O 0.021 0.817 0.501
57 O 0.031 0.194 0.287
58 O 0.031 0.837 0.787
59 O 0.130 0.454 0.061
60 O 0.130 0.676 0.561
61 O 0.151 0.467 0.671
62 O 0.151 0.684 0.171
63 O 0.154 0.492 0.950
64 O 0.154 0.662 0.450
65 O 0.163 0.194 0.787
66 O 0.163 0.969 0.287
67 O 0.171 0.014 0.683
68 O 0.171 0.157 0.183
69 O 0.183 0.204 0.501
70 O 0.183 0.979 0.001
71 O 0.188 0.483 0.346
72 O 0.188 0.705 0.846
73 O 0.229 0.029 0.401
74 O 0.229 0.200 0.901
75 O 0.295 0.483 0.846
76 O 0.295 0.812 0.346
77 O 0.316 0.467 0.171
78 O 0.316 0.849 0.671
79 O 0.324 0.454 0.561
80 O 0.324 0.870 0.061
81 O 0.338 0.492 0.450
82 O 0.338 0.846 0.950
83 O 0.419 0.132 0.619
84 O 0.419 0.287 0.119
85 O 0.454 0.108 0.728
86 O 0.454 0.346 0.228
87 O 0.481 0.139 0.330
88 O 0.481 0.342 0.830
89 O 0.499 0.124 0.998
90 O 0.499 0.375 0.498
91 O 0.508 0.662 0.950
92 O 0.508 0.846 0.450
93 O 0.517 0.705 0.346
94 O 0.517 0.812 0.846
95 O 0.533 0.684 0.671
96 O 0.533 0.849 0.171
97 O 0.546 0.676 0.061
98 O 0.546 0.870 0.561
99 O 0.625 0.124 0.498
100 O 0.625 0.501 0.998
101 O 0.654 0.108 0.228
102 O 0.654 0.546 0.728
103 O 0.658 0.139 0.830
104 O 0.658 0.519 0.330
105 O 0.713 0.132 0.119
106 O 0.713 0.581 0.619
107 O 0.796 0.817 0.001
108 O 0.796 0.979 0.501
109 O 0.800 0.029 0.901
110 O 0.800 0.771 0.401
111 O 0.806 0.837 0.287
112 O 0.806 0.969 0.787
113 O 0.843 0.014 0.183
114 O 0.843 0.829 0.683
115 O 0.861 0.342 0.330
116 O 0.861 0.519 0.830
117 O 0.868 0.287 0.619
118 O 0.868 0.581 0.119
119 O 0.876 0.375 0.998
120 O 0.876 0.501 0.498
121 O 0.892 0.346 0.728
122 O 0.892 0.546 0.228
123 O 0.971 0.200 0.401
124 O 0.971 0.771 0.901
125 O 0.986 0.157 0.683
126 O 0.986 0.829 0.183

Theoretical density: 3.14 g/cm3
Total moment: 0.000 μB per atom
Symmetry: P3c1 (158)
Energy of formation: -278.4 kJ/mol of atoms


2.
Density functional theory data (PBE) for crystalline Na21Ca4Ta8Si15P3O72 at its relaxed geometry.

abc: 9.219 9.226 22.384
angles: 89.83 89.88 60.12
Fractional coordinates of all 123 atoms:
1 Na 0.000 0.000 0.000
2 Na 0.000 0.640 0.762
3 Na 0.026 0.626 0.260
4 Na 0.028 0.287 0.855
5 Na 0.321 0.987 0.423
6 Na 0.329 0.348 0.675
7 Na 0.332 0.596 0.171
8 Na 0.336 0.648 0.855
9 Na 0.372 0.963 0.929
10 Na 0.384 0.279 0.007
11 Na 0.385 0.614 0.497
12 Na 0.658 0.992 0.501
13 Na 0.662 0.602 0.005
14 Na 0.667 0.646 0.349
15 Na 0.678 0.305 0.587
16 Na 0.683 0.305 0.088
17 Na 0.727 0.946 0.176
18 Na 0.730 0.593 0.672
19 Na 0.976 0.349 0.172
20 Na 0.982 0.947 0.674
21 Na 0.990 0.281 0.505
22 Ca 0.012 0.628 0.617
23 Ca 0.013 0.627 0.118
24 Ca 0.677 0.295 0.941
25 Ca 0.683 0.292 0.438
26 Ta 0.008 0.631 0.408
27 Ta 0.017 0.627 0.911
28 Ta 0.342 0.963 0.076
29 Ta 0.344 0.965 0.283
30 Ta 0.348 0.963 0.782
31 Ta 0.350 0.960 0.575
32 Ta 0.677 0.297 0.246
33 Ta 0.681 0.295 0.745
34 Si 0.021 0.325 0.016
35 Si 0.048 0.980 0.181
36 Si 0.050 0.243 0.680
37 Si 0.311 0.636 0.017
38 Si 0.361 0.666 0.681
39 Si 0.365 0.242 0.180
40 Si 0.374 0.600 0.347
41 Si 0.375 0.296 0.848
42 Si 0.626 0.982 0.679
43 Si 0.627 0.667 0.182
44 Si 0.678 0.994 0.348
45 Si 0.681 0.601 0.847
46 Si 0.709 0.634 0.516
47 Si 0.981 0.990 0.846
48 Si 0.984 0.295 0.348
49 P 0.023 0.920 0.516
50 P 0.302 0.329 0.516
51 P 0.714 0.917 0.016
52 O 0.017 0.848 0.577
53 O 0.027 0.819 0.184
54 O 0.034 0.423 0.685
55 O 0.036 0.438 0.958
56 O 0.036 0.797 0.465
57 O 0.147 0.996 0.119
58 O 0.150 0.128 0.619
59 O 0.155 0.126 0.736
60 O 0.167 0.980 0.234
61 O 0.175 0.148 0.333
62 O 0.179 0.440 0.465
63 O 0.179 0.941 0.834
64 O 0.184 0.651 0.958
65 O 0.191 0.928 0.513
66 O 0.194 0.478 0.851
67 O 0.196 0.602 0.357
68 O 0.198 0.647 0.684
69 O 0.201 0.422 0.185
70 O 0.207 0.146 0.015
71 O 0.227 0.627 0.078
72 O 0.238 0.410 0.576
73 O 0.302 0.156 0.513
74 O 0.313 0.818 0.014
75 O 0.322 0.152 0.835
76 O 0.334 0.792 0.334
77 O 0.365 0.776 0.737
78 O 0.375 0.119 0.234
79 O 0.376 0.769 0.620
80 O 0.381 0.129 0.118
81 O 0.467 0.258 0.910
82 O 0.480 0.299 0.508
83 O 0.482 0.468 0.291
84 O 0.488 0.320 0.793
85 O 0.492 0.543 0.405
86 O 0.495 0.475 0.012
87 O 0.504 0.988 0.733
88 O 0.510 0.769 0.121
89 O 0.512 0.996 0.618
90 O 0.515 0.772 0.239
91 O 0.523 0.818 0.515
92 O 0.531 0.793 0.832
93 O 0.534 0.941 0.336
94 O 0.536 0.483 0.684
95 O 0.538 0.254 0.184
96 O 0.544 0.915 0.012
97 O 0.618 0.548 0.905
98 O 0.633 0.157 0.684
99 O 0.639 0.482 0.184
100 O 0.642 0.088 0.410
101 O 0.680 0.476 0.512
102 O 0.688 0.091 0.006
103 O 0.700 0.104 0.292
104 O 0.707 0.463 0.791
105 O 0.797 0.851 0.076
106 O 0.799 0.624 0.578
107 O 0.808 0.651 0.186
108 O 0.808 0.820 0.684
109 O 0.821 0.652 0.459
110 O 0.826 0.793 0.963
111 O 0.841 0.327 0.295
112 O 0.853 0.100 0.788
113 O 0.857 0.809 0.354
114 O 0.862 0.593 0.853
115 O 0.863 0.257 0.683
116 O 0.867 0.156 0.186
117 O 0.867 0.290 0.008
118 O 0.870 0.094 0.511
119 O 0.928 0.109 0.903
120 O 0.930 0.258 0.411
121 O 0.982 0.478 0.353
122 O 0.986 0.811 0.854
123 O 0.994 0.424 0.077

Theoretical density: 3.78 g/cm3
Total moment: 0.000 μB per atom
Symmetry: P1 (1)
Energy of formation: -287.6 kJ/mol of atoms


3.
Density functional theory data (PBE) for crystalline Na6Ca2Ta4Si3P6O36 at its relaxed geometry.

abc: 9.059 9.059 22.803
angles: 90.01 90.01 59.77
Fractional coordinates of all 114 atoms:
1 Na 0.001 0.999 0.500
2 Na 0.023 0.641 0.254
3 Na 0.038 0.294 0.082
4 Na 0.294 0.038 0.582
5 Na 0.326 0.352 0.667
6 Na 0.352 0.326 0.167
7 Na 0.357 0.642 0.751
8 Na 0.641 0.023 0.754
9 Na 0.642 0.357 0.251
10 Na 0.663 0.698 0.333
11 Na 0.698 0.663 0.833
12 Na 0.999 0.001 0.000
13 Ca 0.000 0.006 0.638
14 Ca 0.006 0.000 0.138
15 Ca 0.332 0.337 0.818
16 Ca 0.337 0.332 0.318
17 Ta 0.004 0.012 0.852
18 Ta 0.012 0.004 0.352
19 Ta 0.337 0.349 0.512
20 Ta 0.349 0.337 0.012
21 Ta 0.666 0.678 0.182
22 Ta 0.670 0.673 0.475
23 Ta 0.673 0.670 0.975
24 Ta 0.678 0.666 0.682
25 Si 0.038 0.641 0.410
26 Si 0.045 0.339 0.914
27 Si 0.339 0.045 0.414
28 Si 0.390 0.660 0.578
29 Si 0.641 0.038 0.910
30 Si 0.660 0.390 0.078
31 P 0.001 0.304 0.242
32 P 0.002 0.718 0.745
33 P 0.303 0.720 0.246
34 P 0.304 0.001 0.742
35 P 0.338 0.639 0.912
36 P 0.394 0.968 0.077
37 P 0.639 0.338 0.412
38 P 0.662 0.963 0.578
39 P 0.718 0.002 0.245
40 P 0.720 0.303 0.746
41 P 0.963 0.662 0.078
42 P 0.968 0.394 0.577
43 O 0.015 0.214 0.185
44 O 0.023 0.799 0.690
45 O 0.026 0.831 0.405
46 O 0.036 0.160 0.904
47 O 0.091 0.548 0.348
48 O 0.095 0.394 0.855
49 O 0.137 0.490 0.074
50 O 0.144 0.345 0.248
51 O 0.148 0.381 0.573
52 O 0.158 0.541 0.751
53 O 0.160 0.036 0.404
54 O 0.171 0.312 0.972
55 O 0.172 0.817 0.906
56 O 0.177 0.532 0.465
57 O 0.198 0.793 0.192
58 O 0.206 0.835 0.301
59 O 0.208 0.975 0.796
60 O 0.214 0.015 0.685
61 O 0.214 0.834 0.575
62 O 0.216 0.994 0.078
63 O 0.312 0.171 0.472
64 O 0.312 0.538 0.964
65 O 0.343 0.535 0.254
66 O 0.345 0.144 0.748
67 O 0.380 0.483 0.571
68 O 0.381 0.148 0.073
69 O 0.383 0.544 0.855
70 O 0.394 0.095 0.355
71 O 0.482 0.714 0.241
72 O 0.483 0.380 0.071
73 O 0.485 0.675 0.928
74 O 0.488 0.823 0.740
75 O 0.490 0.137 0.574
76 O 0.491 0.847 0.429
77 O 0.493 0.860 0.024
78 O 0.503 0.875 0.134
79 O 0.509 0.641 0.639
80 O 0.510 0.662 0.526
81 O 0.532 0.177 0.965
82 O 0.535 0.343 0.754
83 O 0.538 0.312 0.464
84 O 0.541 0.158 0.251
85 O 0.544 0.383 0.355
86 O 0.548 0.091 0.848
87 O 0.641 0.509 0.139
88 O 0.646 0.870 0.635
89 O 0.662 0.510 0.026
90 O 0.671 0.850 0.927
91 O 0.671 0.851 0.525
92 O 0.675 0.485 0.428
93 O 0.713 0.828 0.240
94 O 0.714 0.482 0.741
95 O 0.793 0.198 0.692
96 O 0.799 0.023 0.190
97 O 0.816 0.984 0.576
98 O 0.817 0.172 0.406
99 O 0.823 0.488 0.240
100 O 0.828 0.713 0.740
101 O 0.831 0.026 0.905
102 O 0.834 0.214 0.075
103 O 0.835 0.206 0.801
104 O 0.838 0.976 0.300
105 O 0.847 0.491 0.929
106 O 0.850 0.671 0.427
107 O 0.851 0.671 0.025
108 O 0.860 0.493 0.524
109 O 0.870 0.646 0.135
110 O 0.875 0.503 0.634
111 O 0.975 0.208 0.296
112 O 0.976 0.838 0.800
113 O 0.984 0.816 0.076
114 O 0.994 0.216 0.578

Theoretical density: 3.67 g/cm3
Total moment: 0.000 μB per atom
Symmetry: Cc (9)
Energy of formation: -287.3 kJ/mol of atoms